No. 1
Below is a geometry-optimized MnCr2Se4 structure, with properties calculated at the r2SCAN level.

Cell: 7.124 7.124 6.414 Å, 116.68 116.68 30.15°
Element x y z (fractional)
Mn 0.000 0.000 0.000
Cr 0.258 0.258 0.270
Cr 0.742 0.742 0.730
Se 0.131 0.131 0.458
Se 0.363 0.363 0.025
Se 0.637 0.637 0.975
Se 0.869 0.869 0.542

Results
Crystal system: monoclinic

---

No. 2
Below is a geometry-optimized CsCu2Br3 structure, with properties calculated at the r2SCAN level.

Cell: 8.101 8.101 5.537 Å, 90.00 90.00 102.59°
Element x y z (fractional)
Cs 0.179 0.821 0.750
Cs 0.821 0.179 0.250
Cu 0.350 0.350 0.000
Cu 0.350 0.350 0.500
Cu 0.650 0.650 0.000
Cu 0.650 0.650 0.500
Br 0.101 0.340 0.750
Br 0.340 0.101 0.250
Br 0.382 0.618 0.250
Br 0.618 0.382 0.750
Br 0.660 0.899 0.750
Br 0.899 0.660 0.250

Results
Crystal system: orthorhombic

---

No. 3
Below is a geometry-optimized Yb3Hf structure, with properties calculated at the r2SCAN level.

Cell: 5.398 5.398 5.398 Å, 60.00 60.00 60.00°
Element x y z (fractional)
Yb 0.000 0.000 0.000
Yb 0.250 0.250 0.250
Yb 0.750 0.750 0.750
Hf 0.500 0.500 0.500

Results
Crystal system: cubic

---

No. 4
Below is a geometry-optimized ZnFeF6 structure, with properties calculated at the r2SCAN level.

Cell: 5.323 5.323 5.323 Å, 58.29 58.29 58.29°
Element x y z (fractional)
Zn 0.000 0.000 0.000
Fe 0.500 0.500 0.500
F 0.173 0.740 0.345
F 0.260 0.655 0.827
F 0.345 0.173 0.740
F 0.655 0.827 0.260
F 0.740 0.345 0.173
F 0.827 0.260 0.655

Results
Crystal system: trigonal

---

No. 5
Below is a geometry-optimized K2ZnH4 structure, with properties calculated at the r2SCAN level.

Cell: 7.727 5.780 10.188 Å, 90.00 90.00 90.00°
Element x y z (fractional)
K 0.014 0.250 0.187
K 0.159 0.750 0.408
K 0.341 0.250 0.908
K 0.486 0.750 0.687
K 0.514 0.250 0.313
K 0.659 0.750 0.092
K 0.841 0.250 0.592
K 0.986 0.750 0.813
Zn 0.236 0.750 0.082
Zn 0.264 0.250 0.582
Zn 0.736 0.750 0.418
Zn 0.764 0.250 0.918
H 0.024 0.750 0.088
H 0.187 0.018 0.654
H 0.187 0.482 0.654
H 0.192 0.250 0.429
H 0.308 0.750 0.929
H 0.313 0.518 0.154
H 0.313 0.982 0.154
H 0.476 0.250 0.588
H 0.524 0.750 0.412
H 0.687 0.018 0.846
H 0.687 0.482 0.846
H 0.692 0.250 0.071
H 0.808 0.750 0.571
H 0.813 0.518 0.346
H 0.813 0.982 0.346
H 0.976 0.250 0.912

Results
Crystal system: orthorhombic

---

No. 6
Below is a geometry-optimized YMn6Ge6 structure, with properties calculated at the r2SCAN level.

Cell: 5.163 5.163 8.176 Å, 90.00 90.00 120.00°
Element x y z (fractional)
Y 0.000 0.000 0.000
Mn 0.000 0.500 0.252
Mn 0.000 0.500 0.748
Mn 0.500 0.000 0.252
Mn 0.500 0.000 0.748
Mn 0.500 0.500 0.252
Mn 0.500 0.500 0.748
Ge 0.000 0.000 0.344
Ge 0.000 0.000 0.656
Ge 0.333 0.667 0.000
Ge 0.333 0.667 0.500
Ge 0.667 0.333 0.000
Ge 0.667 0.333 0.500

Results
Crystal system: hexagonal

---

Listing E_tot for the structures above in their given order: -108.29, -184.39, -153.84, -60.52, -148.17, -196.08 eV per cell.
Listing ΔH_f (0 K) for the structures above in their given order: -0.89, -0.94, 0.23, -2.31, -0.33, -0.34 eV/atom.